Li3Fe2Cu2O8 (PBE with a Hubbard U, relaxed); total magnetic moment = 8.97 μB/cell; space-group type = P-1, No. 2; crystal system = triclinic; energy above the most stable polymorph in this dataset = 0.088 eV per atom; electronic total energy = -81.74 eV for the cell shown
1.0
5.996 -0.547 0.000
-0.416 6.112 -0.056
3.203 -3.371 3.971
Li Fe Cu O
3 2 2 8
direct
0.500 0.000 0.000 Li
0.500 0.500 0.000 Li
0.500 0.500 0.500 Li
0.000 0.500 0.000 Fe
0.000 0.000 0.500 Fe
0.000 0.000 0.000 Cu
0.500 0.000 0.500 Cu
0.251 0.733 0.016 O
0.222 0.258 0.520 O
0.211 0.815 0.519 O
0.210 0.270 0.973 O
0.790 0.730 0.027 O
0.789 0.185 0.481 O
0.778 0.742 0.480 O
0.749 0.267 0.984 O



Li6Fe3CuP6O24 (PBE with a Hubbard U, relaxed); total magnetic moment = 15.00 μB/cell; space-group type = P1, No. 1; crystal system = triclinic; electronic total energy = -264.36 eV for the cell shown
1.0
-1.510 3.861 -7.449
-7.101 -2.141 -4.306
-6.402 5.709 -0.385
Li Fe Cu P O
6 3 1 6 24
direct
0.025 0.003 0.992 Li
0.755 0.149 0.349 Li
0.474 0.506 0.494 Li
0.220 0.849 0.659 Li
0.662 0.220 0.847 Li
0.846 0.663 0.218 Li
0.146 0.145 0.136 Fe
0.354 0.363 0.354 Fe
0.646 0.646 0.648 Fe
0.853 0.852 0.852 Cu
0.051 0.750 0.453 P
0.453 0.052 0.748 P
0.749 0.455 0.050 P
0.249 0.545 0.956 P
0.547 0.961 0.250 P
0.953 0.248 0.540 P
0.123 0.302 0.489 O
0.313 0.506 0.114 O
0.040 0.923 0.273 O
0.530 0.116 0.307 O
0.244 0.597 0.422 O
0.032 0.798 0.616 O
0.264 0.064 0.908 O
0.444 0.238 0.582 O
0.595 0.427 0.245 O
0.193 0.383 0.991 O
0.082 0.734 0.951 O
0.372 0.007 0.207 O
0.616 0.028 0.801 O
0.907 0.262 0.065 O
0.803 0.615 0.028 O
0.400 0.579 0.759 O
0.577 0.763 0.400 O
0.732 0.952 0.078 O
0.967 0.201 0.381 O
0.759 0.402 0.582 O
0.495 0.889 0.688 O
0.954 0.080 0.728 O
0.685 0.497 0.890 O
0.890 0.682 0.500 O



Li8Fe7CuP12O48 (PBE with a Hubbard U, relaxed); total magnetic moment = 37.00 μB/cell; space-group type = P1, No. 1; crystal system = triclinic; electronic total energy = -511.60 eV for the cell shown
1.0
8.671 0.000 0.000
0.007 8.811 0.000
0.010 0.001 12.238
Li Fe Cu P O
8 7 1 12 48
direct
0.217 0.722 0.182 Li
0.217 0.778 0.818 Li
0.283 0.222 0.318 Li
0.284 0.278 0.681 Li
0.716 0.722 0.319 Li
0.716 0.776 0.682 Li
0.784 0.222 0.182 Li
0.784 0.278 0.816 Li
0.249 0.959 0.614 Fe
0.249 0.541 0.387 Fe
0.250 0.041 0.113 Fe
0.250 0.459 0.887 Fe
0.750 0.541 0.112 Fe
0.750 0.959 0.887 Fe
0.751 0.040 0.387 Fe
0.753 0.459 0.610 Cu
0.106 0.393 0.147 P
0.106 0.106 0.853 P
0.395 0.605 0.647 P
0.394 0.893 0.353 P
0.606 0.108 0.646 P
0.607 0.392 0.353 P
0.894 0.607 0.852 P
0.894 0.893 0.147 P
0.038 0.251 0.500 P
0.460 0.750 0.000 P
0.540 0.250 0.000 P
0.959 0.749 0.499 P
0.056 0.641 0.429 O
0.057 0.856 0.570 O
0.073 0.895 0.155 O
0.073 0.605 0.843 O
0.148 0.163 0.578 O
0.148 0.338 0.421 O
0.157 0.434 0.031 O
0.158 0.066 0.969 O
0.163 0.233 0.180 O
0.164 0.267 0.820 O
0.174 0.513 0.226 O
0.173 0.986 0.773 O
0.327 0.014 0.274 O
0.327 0.486 0.726 O
0.338 0.766 0.680 O
0.336 0.733 0.320 O
0.344 0.565 0.531 O
0.342 0.933 0.470 O
0.351 0.837 0.079 O
0.351 0.662 0.922 O
0.427 0.104 0.655 O
0.428 0.395 0.344 O
0.443 0.143 0.070 O
0.443 0.357 0.930 O
0.557 0.643 0.070 O
0.557 0.857 0.930 O
0.574 0.607 0.657 O
0.572 0.895 0.345 O
0.649 0.338 0.079 O
0.649 0.163 0.921 O
0.657 0.068 0.530 O
0.650 0.439 0.470 O
0.665 0.233 0.320 O
0.662 0.268 0.681 O
0.673 0.513 0.273 O
0.673 0.987 0.726 O
0.827 0.013 0.226 O
0.824 0.485 0.775 O
0.837 0.732 0.180 O
0.837 0.768 0.819 O
0.843 0.565 0.968 O
0.843 0.933 0.031 O
0.853 0.663 0.582 O
0.851 0.837 0.421 O
0.927 0.104 0.845 O
0.927 0.396 0.156 O
0.941 0.145 0.430 O
0.949 0.357 0.578 O



Li5Fe3Cu2P6O24 (PBE with a Hubbard U, relaxed); total magnetic moment = 13.00 μB/cell; space-group type = P1, No. 1; crystal system = triclinic; electronic total energy = -263.40 eV for the cell shown
1.0
8.326 0.000 0.000
3.926 7.562 0.000
4.086 2.570 7.302
Li Fe Cu P O
5 3 2 6 24
direct
0.752 0.143 0.354 Li
0.200 0.854 0.674 Li
0.661 0.192 0.854 Li
0.854 0.664 0.187 Li
0.847 0.842 0.840 Li
0.148 0.143 0.142 Fe
0.353 0.360 0.352 Fe
0.649 0.649 0.657 Fe
0.003 0.000 0.994 Cu
0.492 0.502 0.504 Cu
0.754 0.449 0.050 P
0.064 0.749 0.459 P
0.443 0.052 0.756 P
0.254 0.546 0.960 P
0.555 0.962 0.256 P
0.941 0.254 0.534 P
0.103 0.334 0.464 O
0.335 0.494 0.108 O
0.062 0.909 0.271 O
0.528 0.104 0.332 O
0.043 0.808 0.606 O
0.262 0.589 0.429 O
0.242 0.063 0.911 O
0.432 0.241 0.591 O
0.187 0.386 0.999 O
0.601 0.417 0.245 O
0.092 0.738 0.953 O
0.387 0.019 0.193 O
0.593 0.022 0.826 O
0.905 0.244 0.073 O
0.402 0.577 0.762 O
0.820 0.601 0.022 O
0.575 0.760 0.403 O
0.747 0.951 0.093 O
0.737 0.408 0.571 O
0.956 0.195 0.385 O
0.486 0.891 0.693 O
0.944 0.098 0.720 O
0.693 0.489 0.891 O
0.897 0.679 0.510 O



Li4FeCu3P4O16 (PBE with a Hubbard U, relaxed); total magnetic moment = 7.00 μB/cell; space-group type = Pm, No. 6; crystal system = monoclinic; electronic total energy = -178.96 eV for the cell shown
1.0
6.106 0.000 0.000
0.000 4.765 0.000
0.000 0.102 10.079
Li Fe Cu P O
4 1 3 4 16
direct
0.257 0.001 0.009 Li
0.743 0.001 0.009 Li
0.746 0.497 0.493 Li
0.254 0.497 0.493 Li
0.000 0.019 0.719 Fe
0.500 0.958 0.285 Cu
0.500 0.555 0.786 Cu
0.000 0.450 0.216 Cu
0.000 0.918 0.404 P
0.000 0.587 0.905 P
0.500 0.423 0.095 P
0.500 0.075 0.596 P
0.000 0.802 0.552 O
0.204 0.782 0.338 O
0.796 0.782 0.338 O
0.500 0.751 0.601 O
0.500 0.746 0.098 O
0.197 0.735 0.831 O
0.803 0.735 0.831 O
0.000 0.694 0.049 O
0.500 0.312 0.949 O
0.703 0.284 0.163 O
0.297 0.284 0.163 O
0.000 0.266 0.892 O
0.000 0.241 0.401 O
0.709 0.201 0.665 O
0.291 0.201 0.665 O
0.500 0.201 0.453 O



Li4Fe3CuP4O16 (PBE with a Hubbard U, relaxed); total magnetic moment = 13.00 μB/cell; space-group type = Pm, No. 6; crystal system = monoclinic; electronic total energy = -187.31 eV for the cell shown
1.0
-0.576 -3.897 -4.654
0.825 -3.642 2.947
-10.095 -0.919 2.019
Li Fe Cu P O
4 3 1 4 16
direct
0.250 0.997 0.004 Li
0.750 0.997 0.004 Li
0.749 0.501 0.498 Li
0.251 0.501 0.498 Li
0.000 0.474 0.782 Fe
0.500 0.519 0.220 Fe
0.500 0.973 0.719 Fe
0.000 0.049 0.286 Cu
0.500 0.079 0.406 P
0.500 0.413 0.905 P
0.000 0.583 0.099 P
0.000 0.924 0.591 P
0.500 0.205 0.544 O
0.300 0.216 0.333 O
0.700 0.216 0.333 O
0.000 0.246 0.594 O
0.000 0.256 0.107 O
0.297 0.283 0.834 O
0.703 0.283 0.834 O
0.500 0.286 0.044 O
0.000 0.698 0.957 O
0.794 0.714 0.164 O
0.206 0.714 0.164 O
0.500 0.737 0.902 O
0.500 0.757 0.406 O
0.798 0.784 0.661 O
0.202 0.784 0.661 O
0.000 0.811 0.449 O



Formation energy from the elements, respectively: -1420 -2385 -2359 -2307 -2249 -2397 meV/atom.